1.
Computed, not measured: Sr2LaMn2O7 after structural relaxation at the PBE+U level of DFT.

a b c (Å): 10.500 10.500 10.500
angles (deg): 158.45 158.45 30.66
Atoms (fractional coordinates):
Sr (0.319, 0.319, 0.000)
Sr (0.495, 0.495, 0.000)
La (0.683, 0.683, 0.000)
Mn (0.902, 0.902, 0.000)
Mn (0.096, 0.096, 0.000)
O (0.799, 0.799, 0.000)
O (0.196, 0.196, 0.000)
O (0.903, 0.403, 0.500)
O (0.403, 0.903, 0.500)
O (0.102, 0.602, 0.500)
O (0.602, 0.102, 0.500)
O (0.001, 0.001, 0.000)

Results
total energy after the MP2020 corrections: -95.28 eV/cell
size of the total moment: 0.5825 μB per atom
ΔE_f: -2.834 eV/atom
symmetry: I4mm (107)
relative energy among the computed polymorphs: 11 meV/atom



2.
Computed, not measured: SrLa2Mn3O9 after structural relaxation at the PBE+U level of DFT.

a b c (Å): 5.582 5.582 13.499
angles (deg): 90.00 90.00 120.00
Atoms (fractional coordinates):
Sr (0.000, 0.000, 0.250)
Sr (0.000, 0.000, 0.750)
La (0.333, 0.667, 0.584)
La (0.667, 0.333, 0.916)
La (0.333, 0.667, 0.084)
La (0.667, 0.333, 0.416)
Mn (0.000, 0.000, 0.500)
Mn (0.333, 0.667, 0.832)
Mn (0.667, 0.333, 0.168)
Mn (0.000, 0.000, 0.000)
Mn (0.333, 0.667, 0.332)
Mn (0.667, 0.333, 0.668)
O (0.773, 0.110, 0.579)
O (0.110, 0.773, 0.921)
O (0.457, 0.457, 0.250)
O (0.337, 0.227, 0.579)
O (0.663, 0.890, 0.921)
O (0.000, 0.543, 0.250)
O (0.890, 0.663, 0.579)
O (0.227, 0.337, 0.921)
O (0.543, 0.000, 0.250)
O (0.663, 0.773, 0.421)
O (0.000, 0.457, 0.750)
O (0.337, 0.110, 0.079)
O (0.110, 0.337, 0.421)
O (0.457, 0.000, 0.750)
O (0.773, 0.663, 0.079)
O (0.227, 0.890, 0.421)
O (0.543, 0.543, 0.750)
O (0.890, 0.227, 0.079)

Results
total energy after the MP2020 corrections: -252.79 eV/cell
size of the total moment: 0.7335 μB per atom
ΔE_f: -2.854 eV/atom
symmetry: P-3c1 (165)
relative energy among the computed polymorphs: 0 meV/atom



3.
Computed, not measured: Sr4LaMn5O15 after structural relaxation at the PBE+U level of DFT.

a b c (Å): 5.517 13.430 8.615
angles (deg): 104.25 108.64 89.99
Atoms (fractional coordinates):
Sr (0.600, 0.200, 0.201)
Sr (0.600, 0.700, 0.201)
Sr (0.400, 0.300, 0.799)
Sr (0.400, 0.800, 0.799)
Sr (0.200, 0.400, 0.400)
Sr (0.200, 0.900, 0.400)
Sr (0.800, 0.100, 0.600)
Sr (0.800, 0.600, 0.600)
La (0.000, 0.000, 0.000)
La (0.000, 0.500, 0.000)
Mn (0.000, 0.250, 0.000)
Mn (0.799, 0.849, 0.598)
Mn (0.201, 0.651, 0.402)
Mn (0.601, 0.450, 0.202)
Mn (0.399, 0.050, 0.798)
Mn (0.000, 0.750, 0.000)
Mn (0.799, 0.349, 0.598)
Mn (0.201, 0.151, 0.402)
Mn (0.601, 0.950, 0.202)
Mn (0.399, 0.550, 0.798)
O (0.500, 0.000, 0.000)
O (0.500, 0.500, 0.000)
O (0.000, 0.250, 0.500)
O (0.000, 0.750, 0.500)
O (0.500, 0.250, 0.500)
O (0.500, 0.750, 0.500)
O (0.902, 0.303, 0.803)
O (0.902, 0.803, 0.803)
O (0.098, 0.197, 0.197)
O (0.098, 0.697, 0.197)
O (0.701, 0.402, 0.402)
O (0.701, 0.902, 0.402)
O (0.299, 0.098, 0.598)
O (0.299, 0.598, 0.598)
O (0.607, 0.452, 0.710)
O (0.607, 0.952, 0.710)
O (0.393, 0.048, 0.290)
O (0.393, 0.548, 0.290)
O (0.898, 0.048, 0.290)
O (0.898, 0.548, 0.290)
O (0.102, 0.452, 0.710)
O (0.102, 0.952, 0.710)
O (0.196, 0.148, 0.903)
O (0.196, 0.648, 0.903)
O (0.804, 0.352, 0.097)
O (0.804, 0.852, 0.097)
O (0.292, 0.352, 0.097)
O (0.292, 0.852, 0.097)
O (0.708, 0.148, 0.903)
O (0.708, 0.648, 0.903)

Results
total energy after the MP2020 corrections: -392.58 eV/cell
size of the total moment: 0.0000 μB per atom
ΔE_f: -2.583 eV/atom
relative energy among the computed polymorphs: 0 meV/atom



4.
Computed, not measured: SrLaTiMnO6 after structural relaxation at the PBE+U level of DFT.

a b c (Å): 5.684 9.668 5.590
angles (deg): 72.17 59.74 72.95
Atoms (fractional coordinates):
Sr (0.868, 0.374, 0.876)
Sr (0.386, 0.875, 0.375)
La (0.634, 0.121, 0.626)
La (0.114, 0.619, 0.128)
Ti (0.488, 0.498, 0.507)
Ti (0.013, 0.998, 0.996)
Mn (0.251, 0.250, 0.251)
Mn (0.750, 0.750, 0.750)
O (0.962, 0.871, 0.839)
O (0.401, 0.385, 0.315)
O (0.404, 0.887, 0.913)
O (0.834, 0.378, 0.435)
O (0.840, 0.878, 0.377)
O (0.311, 0.372, 0.875)
O (0.097, 0.619, 0.569)
O (0.668, 0.124, 0.041)
O (0.672, 0.627, 0.127)
O (0.206, 0.128, 0.622)
O (0.523, 0.626, 0.684)
O (0.079, 0.121, 0.197)

Results
total energy after the MP2020 corrections: -171.89 eV/cell
size of the total moment: 0.4001 μB per atom
ΔE_f: -3.257 eV/atom
symmetry: P1 (1)
relative energy among the computed polymorphs: 4 meV/atom



5.
Computed, not measured: Sr3La7Ti3Mn7O30 after structural relaxation at the PBE+U level of DFT.

a b c (Å): 5.580 7.935 14.836
angles (deg): 105.29 100.58 90.80
Atoms (fractional coordinates):
Sr (0.900, 0.653, 0.798)
Sr (0.500, 0.247, 0.001)
Sr (0.502, 0.754, 0.001)
La (0.299, 0.049, 0.601)
La (0.700, 0.451, 0.401)
La (0.898, 0.147, 0.799)
La (0.101, 0.853, 0.200)
La (0.301, 0.553, 0.600)
La (0.698, 0.949, 0.399)
La (0.099, 0.348, 0.200)
Ti (0.997, 0.999, 0.997)
Ti (0.403, 0.401, 0.802)
Ti (0.004, 0.501, 0.002)
Mn (0.799, 0.800, 0.599)
Mn (0.200, 0.201, 0.401)
Mn (0.397, 0.901, 0.801)
Mn (0.598, 0.601, 0.200)
Mn (0.798, 0.302, 0.599)
Mn (0.199, 0.701, 0.400)
Mn (0.602, 0.099, 0.200)
O (0.684, 0.478, 0.909)
O (0.988, 0.240, 0.977)
O (0.076, 0.891, 0.708)
O (0.168, 0.464, 0.888)
O (0.223, 0.935, 0.914)
O (0.405, 0.168, 0.819)
O (0.388, 0.626, 0.773)
O (0.473, 0.289, 0.513)
O (0.566, 0.874, 0.686)
O (0.634, 0.317, 0.712)
O (0.728, 0.926, 0.893)
O (0.808, 0.560, 0.618)
O (0.785, 0.036, 0.573)
O (0.876, 0.688, 0.314)
O (0.959, 0.275, 0.487)
O (0.042, 0.725, 0.513)
O (0.130, 0.310, 0.687)
O (0.212, 0.963, 0.425)
O (0.186, 0.437, 0.374)
O (0.269, 0.084, 0.114)
O (0.359, 0.677, 0.289)
O (0.440, 0.125, 0.313)
O (0.526, 0.711, 0.486)
O (0.613, 0.363, 0.227)
O (0.591, 0.841, 0.182)
O (0.782, 0.074, 0.093)
O (0.846, 0.526, 0.111)
O (0.926, 0.113, 0.288)
O (0.011, 0.760, 0.023)
O (0.308, 0.516, 0.088)

Results
total energy after the MP2020 corrections: -433.45 eV/cell
size of the total moment: 0.5600 μB per atom
ΔE_f: -3.151 eV/atom
symmetry: P1 (1)



6.
Computed, not measured: SrLaTiMnO6 after structural relaxation at the PBE+U level of DFT.

a b c (Å): 5.647 5.686 7.690
angles (deg): 90.69 90.00 90.00
Atoms (fractional coordinates):
Sr (0.007, 0.999, 0.251)
Sr (0.493, 0.499, 0.751)
La (0.513, 0.511, 0.250)
La (0.987, 0.011, 0.750)
Ti (0.498, 0.001, 0.502)
Ti (0.002, 0.501, 0.002)
Mn (0.001, 0.503, 0.500)
Mn (0.499, 0.003, 0.000)
O (0.004, 0.578, 0.745)
O (0.496, 0.078, 0.245)
O (0.242, 0.225, 0.538)
O (0.258, 0.725, 0.038)
O (0.227, 0.243, 0.960)
O (0.273, 0.743, 0.460)
O (0.507, 0.938, 0.754)
O (0.993, 0.438, 0.254)
O (0.740, 0.242, 0.536)
O (0.760, 0.742, 0.036)
O (0.754, 0.260, 0.962)
O (0.746, 0.760, 0.462)

Results
total energy after the MP2020 corrections: -171.74 eV/cell
size of the total moment: 0.0000 μB per atom
ΔE_f: -3.250 eV/atom
symmetry: Pc (7)
relative energy among the computed polymorphs: 12 meV/atom



7.
Computed, not measured: Sr3LaTi2Mn2O12 after structural relaxation at the PBE+U level of DFT.

a b c (Å): 5.586 9.570 9.563
angles (deg): 108.71 90.55 90.72
Atoms (fractional coordinates):
Sr (0.001, 0.375, 0.125)
Sr (0.500, 0.875, 0.125)
Sr (0.001, 0.623, 0.870)
Sr (0.501, 0.123, 0.870)
Sr (0.501, 0.625, 0.377)
Sr (0.001, 0.125, 0.377)
La (0.499, 0.374, 0.621)
La (0.000, 0.873, 0.621)
Ti (0.499, 0.499, 0.996)
Ti (0.999, 0.999, 0.996)
Ti (0.501, 0.248, 0.247)
Ti (0.001, 0.748, 0.247)
Mn (0.503, 0.998, 0.500)
Mn (0.001, 0.250, 0.749)
Mn (0.003, 0.498, 0.500)
Mn (0.500, 0.750, 0.749)
O (0.252, 0.621, 0.623)
O (0.753, 0.121, 0.623)
O (0.006, 0.373, 0.623)
O (0.505, 0.873, 0.623)
O (0.763, 0.619, 0.622)
O (0.263, 0.119, 0.622)
O (0.247, 0.128, 0.128)
O (0.747, 0.628, 0.128)
O (0.497, 0.378, 0.128)
O (0.997, 0.878, 0.128)
O (0.744, 0.128, 0.126)
O (0.244, 0.628, 0.126)
O (0.745, 0.879, 0.873)
O (0.245, 0.379, 0.873)
O (0.753, 0.374, 0.382)
O (0.253, 0.874, 0.382)
O (0.005, 0.624, 0.381)
O (0.505, 0.124, 0.380)
O (0.493, 0.630, 0.874)
O (0.994, 0.129, 0.874)
O (0.262, 0.373, 0.383)
O (0.762, 0.873, 0.384)
O (0.228, 0.883, 0.871)
O (0.728, 0.383, 0.871)

Results
total energy after the MP2020 corrections: -332.69 eV/cell
size of the total moment: 0.0000 μB per atom
ΔE_f: -3.142 eV/atom
relative energy among the computed polymorphs: 0 meV/atom



8.
Computed, not measured: SrLaTiMnO6 after structural relaxation at the PBE+U level of DFT.

a b c (Å): 11.180 5.594 7.891
angles (deg): 89.49 90.00 90.00
Atoms (fractional coordinates):
Sr (0.375, 0.750, 0.500)
Sr (0.627, 0.250, 0.000)
Sr (0.373, 0.750, 0.000)
Sr (0.625, 0.250, 0.500)
La (0.874, 0.750, 0.500)
La (0.123, 0.250, 0.000)
La (0.877, 0.750, 0.000)
La (0.126, 0.250, 0.500)
Ti (0.375, 0.246, 0.749)
Ti (0.625, 0.754, 0.251)
Ti (0.375, 0.254, 0.251)
Ti (0.625, 0.746, 0.749)
Mn (0.874, 0.252, 0.751)
Mn (0.126, 0.748, 0.249)
Mn (0.874, 0.248, 0.249)
Mn (0.126, 0.752, 0.751)
O (0.490, 0.983, 0.229)
O (0.395, 0.250, 0.500)
O (0.738, 0.487, 0.725)
O (0.510, 0.483, 0.229)
O (0.490, 0.517, 0.771)
O (0.605, 0.750, 0.500)
O (0.652, 0.750, 0.000)
O (0.986, 0.969, 0.224)
O (0.764, 0.961, 0.726)
O (0.738, 0.013, 0.275)
O (0.510, 0.017, 0.771)
O (0.857, 0.250, 0.000)
O (0.905, 0.250, 0.500)
O (0.236, 0.461, 0.726)
O (0.014, 0.469, 0.224)
O (0.986, 0.531, 0.776)
O (0.764, 0.539, 0.274)
O (0.095, 0.750, 0.500)
O (0.143, 0.750, 0.000)
O (0.262, 0.987, 0.725)
O (0.236, 0.039, 0.274)
O (0.014, 0.031, 0.776)
O (0.348, 0.250, 0.000)
O (0.262, 0.513, 0.275)

Results
total energy after the MP2020 corrections: -343.95 eV/cell
size of the total moment: 0.3999 μB per atom
ΔE_f: -3.262 eV/atom
symmetry: P2/c (13)
relative energy among the computed polymorphs: 0 meV/atom